[1]
U2InCo2 after structural relaxation. Source: the Materials Project, functional PBE-GGA.

Cell lengths 7.4324, 7.4324, 3.2878 Å; angles 90.00, 90.00, 90.00 degrees
Closest atoms and distances in Å follow each position.
Space group P4/mbm (No. 127)
Inequivalent atoms, fractional coordinates:
U (0.1659, 0.3341, 0.0000) x4  6 Co 2.68-2.77
In (0.0000, 0.0000, 0.5000) x2  4 Co 2.90, 8 U 3.22
Co (0.1324, 0.6324, 0.5000) x4  6 U 2.68-2.77, 1 Co 2.78, 2 In 2.90

**Formation enthalpy at 0 K**: -117 meV/atom

***

[2]
HfCu2Te3 after structural relaxation. Source: the Materials Project, functional PBE-GGA.

Cell lengths 20.4360, 4.0801, 7.3253 Å; angles 90.00, 98.47, 90.00 degrees
Closest atoms and distances in Å follow each position.
Space group C2/m (No. 12)
Inequivalent atoms, fractional coordinates:
Hf (0.1460, 0.0000, 0.0545) x4  5 Te 2.76-3.05, 3 Cu 2.86-3.00
Cu (0.0488, 0.5000, 0.1494) x4  4 Te 2.60-2.70, 1 Cu 2.73
Cu (0.2134, 0.0000, 0.4258) x4  4 Te 2.62-2.73, 2 Cu 2.66, 1 Hf 2.86
Te (0.0814, 0.5000, 0.8201) x4  2 Cu 2.60-2.70, 2 Hf 2.86
Te (0.0836, 0.0000, 0.3648) x4  3 Cu 2.61-2.62, 1 Hf 2.76
Te (0.2494, 0.5000, 0.2145) x4  3 Cu 2.63-2.73

**Formation enthalpy at 0 K**: -682 meV/atom

***

[3]
Ce3TaO7 after structural relaxation. Source: the Materials Project, functional PBE-GGA.

Cell lengths 11.0398, 7.5120, 7.7157 Å; angles 90.00, 90.00, 90.00 degrees
Closest atoms and distances in Å follow each position.
Space group Cmcm (No. 63)
Inequivalent atoms, fractional coordinates:
Ce (0.0000, 0.0000, 0.0000) x4  4 O 2.42
Ce (0.2284, 0.2976, 0.2500) x8  6 O 2.30-2.48
Ta (0.0000, 0.5000, 0.0000) x4  6 O 2.00-2.03
O (0.0000, 0.4298, 0.2500) x4  2 Ta 2.00
O (0.1276, 0.3095, 0.5375) x16  1 Ta 2.03
O (0.1306, 0.0273, 0.2500) x8  4 Ce 2.30-2.42

**Formation enthalpy at 0 K**: -3721 meV/atom

***

[4]
Na3LaScP3O12 after structural relaxation. Source: the Materials Project, functional PBE-GGA.

Cell lengths 9.2827, 9.3748, 13.3029 Å; angles 90.26, 90.30, 90.23 degrees
Closest atoms and distances in Å follow each position.
Space group P1 (No. 1)
Inequivalent atoms, fractional coordinates:
Na (0.0000, 0.0000, 0.0000) x1  4 O 2.45-2.65
Na (0.0043, 0.3527, 0.3178) x1  4 O 2.38-2.66
Na (0.1582, 0.9790, 0.7403) x1  5 O 2.38-2.48
Na (0.1962, 0.9688, 0.2501) x1  4 O 2.42-2.68
Na (0.3434, 0.9855, 0.5061) x1  4 O 2.42-2.71
Na (0.3551, 0.3380, 0.8149) x1  3 O 2.44-2.69
Na (0.5060, 0.8570, 0.8027) x1  4 O 2.37-2.59
Na (0.5268, 0.4950, 0.4988) x1  4 O 2.43-2.68
Na (0.6620, 0.4681, 0.2510) x1  4 O 2.37-2.60
Na (0.6957, 0.4746, 0.7422) x1  5 O 2.47-2.76
Na (0.8374, 0.4765, 0.0039) x1  2 O 2.35-2.62
Na (0.8438, 0.8459, 0.3166) x1  5 O 2.43-2.70
La (0.1610, 0.2851, 0.6031) x1  6 O 2.26-2.51
La (0.1787, 0.6882, 0.8963) x1  6 O 2.33-2.47
La (0.1912, 0.2841, 0.1054) x1  6 O 2.25-2.42
La (0.6619, 0.7796, 0.1007) x1  6 O 2.25-2.45
Sc (0.1754, 0.6855, 0.4000) x1  6 O 2.08-2.24
Sc (0.6751, 0.1828, 0.8967) x1  6 O 2.03-2.23
Sc (0.6788, 0.1856, 0.4010) x1  6 O 2.08-2.24
Sc (0.6840, 0.7827, 0.6001) x1  6 O 2.00-2.15
P (0.0144, 0.3144, 0.8543) x1  4 O 1.54-1.56
P (0.0276, 0.6424, 0.1644) x1  4 O 1.55-1.56
P (0.3349, 0.6436, 0.6460) x1  4 O 1.55-1.56
P (0.3357, 0.3330, 0.3597) x1  4 O 1.54-1.57
P (0.3712, 0.9896, 0.9858) x1  4 O 1.54-1.56
P (0.5001, 0.4725, 0.9868) x1  4 O 1.53-1.56
P (0.5231, 0.8379, 0.3640) x1  4 O 1.54-1.56
P (0.5407, 0.1284, 0.6485) x1  4 O 1.55-1.57
P (0.8172, 0.1399, 0.1563) x1  4 O 1.55-1.57
P (0.8220, 0.8361, 0.8463) x1  4 O 1.54-1.56
P (0.8672, 0.4906, 0.4917) x1  4 O 1.53-1.57
P (0.9688, 0.9737, 0.4939) x1  4 O 1.54-1.57
O (0.0562, 0.2474, 0.9556) x1  1 P 1.54
O (0.0612, 0.8853, 0.4179) x1  1 P 1.57
O (0.0637, 0.4739, 0.8547) x1  1 P 1.56
O (0.0650, 0.4820, 0.1701) x1  1 P 1.55
O (0.0736, 0.0455, 0.5694) x1  1 P 1.55
O (0.0753, 0.7042, 0.0617) x1  1 P 1.55
O (0.0928, 0.2318, 0.7705) x1  1 P 1.54
O (0.1003, 0.7281, 0.2518) x1  1 P 1.56
O (0.2625, 0.2491, 0.2734) x1  1 P 1.54
O (0.2662, 0.0476, 0.0660) x1  1 P 1.55
O (0.2717, 0.6850, 0.5419) x1  1 P 1.55
O (0.2736, 0.7430, 0.7286) x1  1 P 1.55
O (0.2810, 0.4909, 0.3627) x1  1 P 1.57
O (0.2828, 0.9254, 0.8965) x1  1 P 1.56
O (0.2915, 0.2576, 0.4574) x1  1 P 1.54
O (0.3022, 0.4835, 0.6675) x1  1 P 1.56
O (0.3555, 0.8323, 0.3571) x1  1 P 1.56
O (0.3720, 0.1352, 0.6538) x1  1 P 1.57
O (0.3978, 0.3699, 0.0409) x1  1 P 1.53
O (0.4097, 0.5816, 0.9284) x1  1 P 1.54
O (0.4571, 0.8668, 0.0340) x1  1 P 1.54
O (0.4758, 0.1006, 0.9412) x1  1 P 1.54
O (0.5027, 0.3338, 0.3530) x1  1 P 1.55
O (0.5029, 0.6567, 0.6479) x1  1 P 1.56
O (0.5710, 0.7732, 0.4649) x1  1 P 1.54
O (0.5712, 0.9980, 0.3639) x1  1 P 1.56
O (0.5794, 0.9678, 0.6511) x1  1 P 1.55
O (0.5884, 0.3893, 0.9057) x1  1 P 1.56
O (0.5957, 0.1937, 0.5482) x1  1 P 1.56
O (0.5959, 0.7545, 0.2780) x1  1 P 1.54
O (0.6008, 0.2116, 0.7409) x1  1 P 1.55
O (0.6075, 0.5342, 0.0652) x1  1 P 1.55
O (0.7511, 0.2253, 0.2455) x1  1 P 1.56
O (0.7531, 0.7632, 0.7529) x1  1 P 1.55
O (0.7582, 0.9887, 0.8619) x1  1 P 1.56
O (0.7614, 0.5770, 0.5569) x1  1 P 1.54
O (0.7655, 0.1944, 0.0519) x1  1 P 1.56
O (0.7780, 0.3982, 0.4150) x1  1 P 1.57
O (0.7835, 0.9781, 0.1653) x1  1 P 1.55
O (0.7845, 0.7479, 0.9404) x1  1 P 1.54
O (0.8479, 0.3133, 0.8436) x1  1 P 1.55
O (0.8607, 0.6508, 0.1758) x1  1 P 1.56
O (0.8649, 0.8724, 0.5482) x1  1 P 1.54
O (0.8782, 0.0818, 0.4320) x1  1 P 1.56
O (0.9511, 0.3910, 0.5616) x1  1 P 1.53
O (0.9758, 0.5794, 0.4293) x1  1 P 1.55
O (0.9854, 0.1508, 0.1650) x1  1 P 1.57
O (0.9882, 0.8518, 0.8386) x1  1 P 1.55

**Energy relative to the lowest polymorph listed for this composition**: 0.131 eV/f.u.
**Formation enthalpy at 0 K**: -3046 meV/atom

***

Among the records above, which one has the lowest formation enthalpy at 0 K? Ce3TaO7

***

What is the formation enthalpy at 0 K in the third record? -3721 meV/atom

***

Which of these has the lowest formation enthalpy at 0 K? Ce3TaO7